Entry 1:
{"formula": "LiMn2P3O12", "functional": "PBE with a Hubbard U", "state": "optimized geometry", "energy_mp2020_ev_per_atom": -7.68, "delta_e_f_ev_per_atom": -2.36, "crystal_system": "monoclinic", "space_group": "No. 9", "relative_energy_ev_per_atom": 0.0132, "cell": [[7.305, -4.207, 0.000], [7.305, 4.207, 0.000], [-4.837, 0.000, 7.090]], "species": ["Li", "Li", "Mn", "Mn", "Mn", "Mn", "P", "P", "P", "P", "P", "P", "O", "O", "O", "O", "O", "O", "O", "O", "O", "O", "O", "O", "O", "O", "O", "O", "O", "O", "O", "O", "O", "O", "O", "O"], "fractional_positions": [[0.169, 0.831, 0.500], [0.831, 0.169, 0.000], [0.160, 0.653, 0.024], [0.449, 0.952, 0.884], [0.653, 0.160, 0.524], [0.952, 0.449, 0.384], [0.051, 0.277, 0.707], [0.277, 0.051, 0.207], [0.331, 0.551, 0.696], [0.551, 0.331, 0.196], [0.762, 0.840, 0.705], [0.840, 0.762, 0.205], [0.039, 0.745, 0.215], [0.062, 0.314, 0.555], [0.075, 0.211, 0.209], [0.082, 0.435, 0.902], [0.170, 0.528, 0.499], [0.211, 0.075, 0.709], [0.266, 0.857, 0.162], [0.289, 0.546, 0.847], [0.314, 0.062, 0.055], [0.335, 0.749, 0.734], [0.393, 0.528, 0.191], [0.435, 0.082, 0.402], [0.528, 0.170, 0.999], [0.528, 0.393, 0.691], [0.546, 0.289, 0.347], [0.573, 0.846, 0.698], [0.677, 0.803, 0.027], [0.745, 0.039, 0.715], [0.749, 0.335, 0.234], [0.803, 0.677, 0.527], [0.821, 0.927, 0.394], [0.846, 0.573, 0.198], [0.857, 0.266, 0.662], [0.927, 0.821, 0.894]]}

Entry 2:
{"formula": "LiMnPO4", "functional": "PBE with a Hubbard U", "state": "optimized geometry", "energy_mp2020_ev_per_atom": -7.76, "delta_e_f_ev_per_atom": -2.57, "crystal_system": "orthorhombic", "piezo_max_c_m2": 0.5, "space_group": "No. 33", "relative_energy_ev_per_atom": 0.0594, "cell": [[7.105, 0.000, 0.000], [0.000, 8.247, 0.000], [0.000, 0.000, 5.288]], "species": ["Li", "Li", "Li", "Li", "Mn", "Mn", "Mn", "Mn", "P", "P", "P", "P", "O", "O", "O", "O", "O", "O", "O", "O", "O", "O", "O", "O", "O", "O", "O", "O"], "fractional_positions": [[0.247, 0.054, 0.000], [0.253, 0.554, 0.500], [0.747, 0.446, 0.000], [0.753, 0.946, 0.500], [0.023, 0.743, 0.019], [0.477, 0.243, 0.519], [0.523, 0.757, 0.019], [0.977, 0.257, 0.519], [0.214, 0.907, 0.506], [0.286, 0.407, 0.006], [0.714, 0.593, 0.506], [0.786, 0.093, 0.006], [0.030, 0.003, 0.470], [0.136, 0.514, 0.137], [0.185, 0.753, 0.673], [0.223, 0.347, 0.734], [0.277, 0.847, 0.234], [0.315, 0.253, 0.173], [0.364, 0.014, 0.637], [0.470, 0.503, 0.970], [0.530, 0.497, 0.470], [0.636, 0.986, 0.137], [0.685, 0.747, 0.673], [0.723, 0.153, 0.734], [0.777, 0.653, 0.234], [0.815, 0.247, 0.173], [0.864, 0.486, 0.637], [0.970, 0.997, 0.970]]}